#1
Crystalline Li3VOF5 at its relaxed geometry. Source: the Materials Project database, functional GGA+U.

Calculated values
Size of the total moment   0.00 μB/f.u.

Geometry as POSCAR:
```
Li3VOF5
1.0
-5.068 5.255 0.065
-5.067 -5.254 0.059
5.114 0.003 7.685
Li V O F
12 4 4 20
direct
0.763 0.758 0.513
0.263 0.258 0.513
0.508 0.014 0.014
0.008 0.514 0.014
0.146 0.607 0.761
0.646 0.107 0.761
0.856 0.897 0.260
0.356 0.396 0.260
0.664 0.625 0.780
0.164 0.125 0.780
0.375 0.915 0.279
0.875 0.415 0.279
0.013 0.013 0.003
0.764 0.263 0.502
0.512 0.513 0.003
0.264 0.763 0.502
0.854 0.502 0.546
0.354 0.002 0.546
0.251 0.103 0.047
0.751 0.603 0.047
0.579 0.500 0.225
0.079 0.000 0.225
0.753 0.329 0.725
0.253 0.829 0.725
0.001 0.721 0.907
0.501 0.221 0.907
0.472 0.251 0.406
0.972 0.751 0.406
0.214 0.417 0.931
0.714 0.918 0.932
0.668 0.964 0.429
0.168 0.464 0.429
0.031 0.193 0.574
0.531 0.693 0.574
0.442 0.781 0.074
0.942 0.281 0.074
0.744 0.152 0.261
0.244 0.652 0.261
0.901 0.993 0.762
0.401 0.493 0.762
```

***

#2
Crystalline Li3VOF5 at its relaxed geometry. Source: the Materials Project database, functional GGA+U.

Calculated values
Largest piezoelectric modulus   1.5 C/m²
Size of the total moment   1.00 μB/f.u.

Geometry as POSCAR:
```
Li3VOF5
1.0
4.043 2.788 2.483
2.231 -3.419 -3.708
-0.594 6.170 -6.425
Li V O F
6 2 2 10
direct
0.077 0.918 0.585
0.577 0.418 0.085
0.041 0.491 0.778
0.541 0.991 0.278
0.509 0.966 0.775
0.009 0.466 0.275
0.501 0.502 0.501
0.001 0.002 0.001
0.638 0.374 0.635
0.138 0.874 0.135
0.837 0.161 0.836
0.337 0.661 0.336
0.821 0.183 0.131
0.321 0.683 0.631
0.131 0.869 0.822
0.631 0.369 0.322
0.774 0.824 0.472
0.274 0.324 0.972
0.679 0.727 0.980
0.179 0.227 0.480
```

***

#3
Crystalline Li3VOF5 at its relaxed geometry. Source: the Materials Project database, functional GGA+U.

Calculated values
Size of the total moment   1.00 μB/f.u.
Symmetry   No. 1

Geometry as POSCAR:
```
Li3VOF5
1.0
-4.241 2.654 -0.683
0.224 -1.842 -8.410
-5.313 -8.117 1.668
Li V O F
12 4 4 20
direct
0.513 0.541 0.891
0.988 0.146 0.872
0.507 0.955 0.851
0.992 0.455 0.652
0.500 0.650 0.627
0.998 0.040 0.608
0.500 0.956 0.394
0.994 0.351 0.375
0.495 0.549 0.352
0.997 0.047 0.146
0.487 0.850 0.128
0.004 0.454 0.106
0.029 0.760 0.893
0.476 0.260 0.617
0.976 0.740 0.382
0.500 0.240 0.128
0.167 0.905 0.986
0.145 0.600 0.969
0.200 0.257 0.524
0.699 0.743 0.475
0.684 0.758 0.975
0.853 0.934 0.772
0.302 0.769 0.758
0.817 0.620 0.753
0.322 0.112 0.751
0.806 0.267 0.736
0.359 0.441 0.728
0.660 0.091 0.525
0.683 0.412 0.510
0.183 0.588 0.490
0.161 0.910 0.474
0.856 0.559 0.271
0.305 0.733 0.264
0.821 0.887 0.248
0.316 0.389 0.249
0.821 0.231 0.240
0.353 0.059 0.227
0.656 0.411 0.025
0.171 0.246 0.021
0.679 0.084 0.009
```

***

Computed relative energies in units of eV/atom: #1 0.010; #2 0.076; #3 0.000

***

#1
Crystalline LiV4OF11 at its relaxed geometry. Source: the Materials Project database, functional GGA+U.

Calculated values
Size of the total moment   8.00 μB/f.u.
Symmetry   No. 1

Geometry as POSCAR:
```
LiV4OF11
1.0
5.205 0.000 0.000
2.591 4.860 0.000
2.570 0.881 17.053
Li V O F
2 8 2 22
direct
0.454 0.411 0.686
0.590 0.498 0.314
0.378 0.372 0.879
0.225 0.260 0.244
0.870 0.871 0.375
0.009 0.997 0.003
0.750 0.753 0.751
0.142 0.137 0.619
0.485 0.491 0.505
0.640 0.615 0.130
0.842 0.471 0.219
0.341 0.345 0.594
0.167 0.158 0.908
0.561 0.197 0.433
0.083 0.692 0.934
0.676 0.070 0.809
0.651 0.647 0.403
0.612 0.208 0.966
0.350 0.971 0.717
0.072 0.097 0.343
0.902 0.272 0.533
0.601 0.584 0.841
0.801 0.448 0.688
0.193 0.562 0.313
0.417 0.396 0.156
0.088 0.718 0.466
0.908 0.920 0.663
0.637 0.042 0.287
0.400 0.786 0.035
0.168 0.523 0.778
0.318 0.924 0.190
0.932 0.319 0.058
0.444 0.801 0.563
0.845 0.846 0.092
```

***

#2
Crystalline LiV4OF11 at its relaxed geometry. Source: the Materials Project database, functional GGA+U.

Calculated values
Size of the total moment   8.00 μB/f.u.
Symmetry   No. 1

Geometry as POSCAR:
```
LiV4OF11
1.0
5.193 0.000 0.001
2.597 4.892 -0.019
-2.595 0.972 16.965
Li V O F
2 8 2 22
direct
0.697 0.564 0.957
0.554 0.309 0.418
0.996 0.508 0.500
0.254 0.367 0.875
0.484 0.242 0.251
0.504 0.751 0.750
0.755 0.124 0.625
0.038 0.975 0.007
0.256 0.899 0.368
0.726 0.633 0.124
0.431 0.102 0.344
0.439 0.773 0.031
0.053 0.167 0.907
0.001 0.670 0.935
0.986 0.205 0.440
0.488 0.065 0.810
0.072 0.959 0.718
0.053 0.472 0.215
0.087 0.655 0.414
0.578 0.220 0.961
0.449 0.595 0.846
0.448 0.280 0.529
0.518 0.437 0.687
0.503 0.541 0.321
0.563 0.708 0.468
0.564 0.915 0.657
0.560 0.405 0.160
0.929 0.023 0.283
0.939 0.336 0.592
0.933 0.538 0.783
0.484 0.939 0.187
0.976 0.333 0.054
0.992 0.811 0.565
0.920 0.852 0.092
```

***

#3
Crystalline LiV4OF11 at its relaxed geometry. Source: the Materials Project database, functional GGA+U.

Calculated values
Size of the total moment   8.00 μB/f.u.
Symmetry   No. 1

Geometry as POSCAR:
```
LiV4OF11
1.0
-3.701 -3.039 2.191
-1.465 4.994 -1.773
-1.405 -5.664 -16.417
Li V O F
2 8 2 22
direct
0.448 0.795 0.071
0.700 0.927 0.449
0.983 0.980 0.002
0.751 0.406 0.121
0.754 0.872 0.627
0.500 0.245 0.751
0.498 0.757 0.250
0.249 0.142 0.379
0.025 0.498 0.499
0.252 0.616 0.875
0.758 0.693 0.062
0.153 0.277 0.459
0.790 0.193 0.038
0.713 0.062 0.184
0.763 0.168 0.559
0.680 0.034 0.716
0.685 0.353 0.413
0.686 0.552 0.216
0.826 0.724 0.531
0.800 0.898 0.346
0.828 0.415 0.840
0.316 0.156 0.087
0.728 0.554 0.686
0.258 0.431 0.306
0.674 0.830 0.909
0.175 0.082 0.662
0.202 0.606 0.153
0.330 0.664 0.591
0.322 0.456 0.784
0.324 0.965 0.288
0.281 0.831 0.437
0.220 0.303 0.937
0.274 0.933 0.814
0.199 0.775 0.971
```

***

Computed relative energies in units of eV/atom: #1 0.010; #2 0.024; #3 0.000

***

#1
Crystalline LiV4OF11 at its relaxed geometry. Source: the Materials Project database, functional GGA+U.

Calculated values
Size of the total moment   8.00 μB/f.u.
Symmetry   No. 1

Geometry as POSCAR:
```
LiV4OF11
1.0
5.258 -0.002 0.002
2.598 4.874 -0.023
0.066 2.944 8.542
Li V O F
1 4 1 11
direct
0.142 0.715 0.370
0.249 0.494 0.757
0.499 0.999 0.501
0.761 0.517 0.238
0.995 0.988 0.008
0.931 0.750 0.183
0.069 0.257 0.430
0.068 0.252 0.823
0.011 0.761 0.866
0.474 0.255 0.621
0.573 0.256 0.328
0.563 0.252 0.931
0.433 0.739 0.069
0.429 0.744 0.677
0.492 0.758 0.377
0.001 0.234 0.130
0.942 0.744 0.558
```

***

#2
Crystalline LiV4OF11 at its relaxed geometry. Source: the Materials Project database, functional GGA+U.

Calculated values
Size of the total moment   8.00 μB/f.u.
Symmetry   No. 2

Geometry as POSCAR:
```
LiV4OF11
1.0
-3.114 3.018 2.935
-3.998 -2.478 2.930
8.849 -1.125 14.738
Li V O F
2 8 2 22
direct
0.483 0.344 0.708
0.517 0.656 0.292
0.782 0.732 0.755
0.359 0.386 0.873
0.871 0.879 0.376
0.500 0.500 0.500
0.000 0.000 0.000
0.641 0.614 0.127
0.218 0.268 0.245
0.129 0.121 0.624
0.152 0.531 0.784
0.848 0.469 0.216
0.077 0.684 0.940
0.180 0.576 0.315
0.663 0.095 0.802
0.107 0.703 0.466
0.422 0.392 0.161
0.613 0.207 0.960
0.348 0.346 0.597
0.625 0.039 0.291
0.836 0.848 0.090
0.578 0.608 0.839
0.587 0.178 0.442
0.923 0.316 0.060
0.903 0.916 0.657
0.652 0.654 0.403
0.164 0.152 0.910
0.893 0.297 0.534
0.097 0.084 0.343
0.387 0.793 0.040
0.820 0.424 0.685
0.337 0.905 0.198
0.413 0.822 0.558
0.375 0.961 0.709
```

***

Computed relative energies in units of eV/atom: #1 0.000; #2 0.005

***

#1
Crystalline Li5V6O5F19 at its relaxed geometry. Source: the Materials Project database, functional GGA+U.

Calculated values
Size of the total moment   6.00 μB/f.u.
Symmetry   No. 1

Geometry as POSCAR:
```
Li5V6O5F19
1.0
-4.561 -2.124 -1.309
1.624 -0.421 -5.139
6.670 -14.837 0.534
Li V O F
5 6 5 19
direct
0.456 0.626 0.558
0.048 0.700 0.870
0.281 0.193 0.151
0.037 0.124 0.563
0.763 0.640 0.170
0.968 0.628 0.667
0.518 0.806 0.336
0.029 0.028 0.004
0.534 0.520 0.997
0.521 0.129 0.672
0.995 0.332 0.338
0.806 0.376 0.640
0.798 0.704 0.985
0.692 0.885 0.638
0.216 0.261 0.027
0.713 0.565 0.312
0.713 0.217 0.973
0.304 0.461 0.689
0.912 0.933 0.119
0.577 0.769 0.450
0.897 0.601 0.780
0.383 0.565 0.892
0.411 0.904 0.223
0.112 0.765 0.558
0.791 0.058 0.314
0.292 0.105 0.354
0.191 0.950 0.690
0.574 0.414 0.120
0.085 0.028 0.891
0.922 0.258 0.448
0.577 0.111 0.781
0.076 0.397 0.225
0.380 0.264 0.561
0.294 0.764 0.032
0.205 0.608 0.359
```

***

#2
Crystalline Li5V6O5F19 at its relaxed geometry. Source: the Materials Project database, functional GGA+U.

Calculated values
Size of the total moment   6.00 μB/f.u.
Symmetry   No. 1

Geometry as POSCAR:
```
Li5V6O5F19
1.0
-4.907 0.314 -1.834
0.844 -4.528 -2.836
-5.522 -6.403 13.721
Li V O F
5 6 5 19
direct
0.974 0.583 0.107
0.205 0.961 0.495
0.716 0.211 0.846
0.804 0.479 0.510
0.314 0.700 0.831
0.481 0.472 0.005
0.534 0.812 0.663
0.026 0.680 0.330
0.972 0.025 0.000
0.495 0.158 0.327
0.032 0.356 0.670
0.269 0.244 0.023
0.274 0.894 0.356
0.778 0.258 0.974
0.280 0.567 0.690
0.779 0.603 0.641
0.206 0.382 0.353
0.716 0.447 0.316
0.083 0.920 0.886
0.084 0.584 0.217
0.424 0.769 0.547
0.573 0.907 0.782
0.619 0.571 0.113
0.927 0.729 0.449
0.195 0.721 0.025
0.226 0.055 0.681
0.726 0.113 0.646
0.782 0.937 0.308
0.069 0.268 0.547
0.922 0.046 0.114
0.430 0.435 0.882
0.921 0.391 0.783
0.418 0.108 0.220
0.580 0.234 0.441
0.699 0.765 0.979
```

***

Computed relative energies in units of eV/atom: #1 0.022; #2 0.000